Below is an optimized crystal structure of Li9Co7O16, with properties calculated at the PBE with a Hubbard U level.

Unit cell a=2.942 b=9.849 c=9.990 alpha=79.11 beta=89.21 gamma=88.78
Space group P-1 (No. 2)
Asymmetric unit:
Li: 0.000 0.000 0.000 [1 per cell]
Li: 0.003 0.749 0.872 [2 per cell]
Li: 0.007 0.252 0.627 [2 per cell]
Li: 0.496 0.245 0.876 [2 per cell]
Li: 0.497 0.749 0.626 [2 per cell]
Co: 0.000 0.000 0.500 [1 per cell]
Co: 0.007 0.501 0.252 [2 per cell]
Co: 0.494 0.001 0.242 [2 per cell]
Co: 0.500 0.500 0.000 [1 per cell]
Co: 0.500 0.500 0.500 [1 per cell]
O: 0.008 0.382 0.436 [2 per cell]
O: 0.021 0.618 0.062 [2 per cell]
O: 0.034 0.111 0.323 [2 per cell]
O: 0.034 0.115 0.806 [2 per cell]
O: 0.476 0.615 0.810 [2 per cell]
O: 0.491 0.895 0.429 [2 per cell]
O: 0.492 0.618 0.310 [2 per cell]
O: 0.498 0.115 0.085 [2 per cell]

Calculated values
Formation energy from the elements = -1684 meV/atom
Crystal system = triclinic
Polymorph energy (0 for the lowest one) = 71 meV/atom

***

Below is an optimized crystal structure of Li4Co5SnO12, with properties calculated at the PBE with a Hubbard U level.

Unit cell a=5.038 b=5.047 c=19.824 alpha=92.85 beta=91.98 gamma=119.61
Space group P1 (No. 1)
Asymmetric unit:
Li: 0.000 0.000 0.000 [1 per cell]
Li: 0.077 0.745 0.244 [1 per cell]
Li: 0.160 0.818 0.504 [1 per cell]
Li: 0.409 0.413 0.243 [1 per cell]
Li: 0.504 0.492 0.504 [1 per cell]
Li: 0.583 0.244 0.744 [1 per cell]
Li: 0.664 0.330 0.999 [1 per cell]
Li: 0.915 0.910 0.745 [1 per cell]
Co: 0.043 0.366 0.122 [1 per cell]
Co: 0.123 0.780 0.374 [1 per cell]
Co: 0.205 0.202 0.624 [1 per cell]
Co: 0.373 0.029 0.122 [1 per cell]
Co: 0.458 0.447 0.374 [1 per cell]
Co: 0.541 0.866 0.624 [1 per cell]
Co: 0.623 0.283 0.872 [1 per cell]
Co: 0.698 0.689 0.121 [1 per cell]
Co: 0.875 0.533 0.624 [1 per cell]
Co: 0.956 0.950 0.872 [1 per cell]
Sn: 0.289 0.616 0.872 [1 per cell]
Sn: 0.790 0.121 0.374 [1 per cell]
O: 0.077 0.067 0.175 [1 per cell]
O: 0.118 0.450 0.316 [1 per cell]
O: 0.155 0.132 0.430 [1 per cell]
O: 0.200 0.520 0.575 [1 per cell]
O: 0.221 0.894 0.673 [1 per cell]
O: 0.272 0.241 0.818 [1 per cell]
O: 0.307 0.991 0.926 [1 per cell]
O: 0.345 0.342 0.067 [1 per cell]
O: 0.384 0.697 0.173 [1 per cell]
O: 0.426 0.104 0.316 [1 per cell]
O: 0.463 0.786 0.430 [1 per cell]
O: 0.514 0.184 0.575 [1 per cell]
O: 0.559 0.547 0.673 [1 per cell]
O: 0.629 0.954 0.818 [1 per cell]
O: 0.663 0.635 0.926 [1 per cell]
O: 0.703 0.021 0.073 [1 per cell]
O: 0.744 0.415 0.175 [1 per cell]
O: 0.773 0.754 0.317 [1 per cell]
O: 0.809 0.483 0.433 [1 per cell]
O: 0.862 0.847 0.575 [1 per cell]
O: 0.886 0.210 0.673 [1 per cell]
O: 0.915 0.597 0.818 [1 per cell]
O: 0.950 0.278 0.926 [1 per cell]
O: 0.995 0.660 0.070 [1 per cell]

Calculated values
Formation energy from the elements = -1650 meV/atom
Crystal system = triclinic
Polymorph energy (0 for the lowest one) = 27 meV/atom

***

Below is an optimized crystal structure of MgMn3Cu3O8, with properties calculated at the PBE with a Hubbard U level.

Unit cell a=10.560 b=6.003 c=6.681 alpha=90.00 beta=126.27 gamma=90.00
Space group C2 (No. 5)
Asymmetric unit:
Mg: 0.000 0.000 0.000 [2 per cell]
Mn: 0.000 0.552 0.500 [2 per cell]
Mn: 0.249 0.759 0.998 [4 per cell]
Cu: 0.000 0.513 0.000 [2 per cell]
Cu: 0.115 0.091 0.484 [4 per cell]
O: 0.018 0.260 0.801 [4 per cell]
O: 0.019 0.759 0.790 [4 per cell]
O: 0.238 0.509 0.193 [4 per cell]
O: 0.248 0.508 0.804 [4 per cell]

Calculated values
Formation energy from the elements = -1619 meV/atom
Crystal system = monoclinic
Polymorph energy (0 for the lowest one) = 0 meV/atom

***

Below is an optimized crystal structure of CrBiO4, with properties calculated at the PBE with a Hubbard U level.

Unit cell a=6.077 b=10.890 c=6.089 alpha=90.00 beta=114.51 gamma=90.00
Space group P2/c (No. 13)
Asymmetric unit:
Cr: 0.000 0.123 0.250 [2 per cell]
Cr: 0.500 0.375 0.250 [2 per cell]
Bi: 0.000 0.396 0.750 [2 per cell]
Bi: 0.500 0.157 0.750 [2 per cell]
O: 0.089 0.210 0.502 [4 per cell]
O: 0.224 0.462 0.156 [4 per cell]
O: 0.240 0.039 0.291 [4 per cell]
O: 0.414 0.291 0.971 [4 per cell]

Calculated values
Formation energy from the elements = -1758 meV/atom
Crystal system = monoclinic

***

Below is an optimized crystal structure of Ba2Ca2Tl2Ni3O10, with properties calculated at the PBE with a Hubbard U level.

Unit cell a=3.852 b=3.909 c=18.868 alpha=84.22 beta=84.34 gamma=89.98
Space group P1 (No. 1)
Asymmetric unit:
Ba: 0.000 0.000 0.000 [1 per cell]
Ba: 0.331 0.300 0.437 [1 per cell]
Ca: 0.104 0.085 0.806 [1 per cell]
Ca: 0.231 0.191 0.631 [1 per cell]
Tl: 0.439 0.405 0.156 [1 per cell]
Tl: 0.889 0.846 0.281 [1 per cell]
Ni: 0.554 0.548 0.890 [1 per cell]
Ni: 0.676 0.629 0.720 [1 per cell]
Ni: 0.779 0.738 0.547 [1 per cell]
O: 0.052 0.546 0.896 [1 per cell]
O: 0.174 0.624 0.725 [1 per cell]
O: 0.277 0.734 0.552 [1 per cell]
O: 0.394 0.479 0.267 [1 per cell]
O: 0.480 0.488 0.045 [1 per cell]
O: 0.557 0.050 0.887 [1 per cell]
O: 0.686 0.132 0.712 [1 per cell]
O: 0.783 0.241 0.541 [1 per cell]
O: 0.848 0.829 0.392 [1 per cell]
O: 0.933 0.024 0.170 [1 per cell]

Calculated values
Formation energy from the elements = -1844 meV/atom
Crystal system = triclinic

***

Below is an optimized crystal structure of Li3Fe2OF5, with properties calculated at the PBE with a Hubbard U level.

Unit cell a=5.252 b=5.263 c=9.444 alpha=100.50 beta=100.43 gamma=109.15
Space group P1 (No. 1)
Asymmetric unit:
Li: 0.000 0.000 0.000 [1 per cell]
Li: 0.073 0.571 0.146 [1 per cell]
Li: 0.329 0.321 0.646 [1 per cell]
Li: 0.408 0.905 0.804 [1 per cell]
Li: 0.647 0.645 0.292 [1 per cell]
Li: 0.749 0.245 0.490 [1 per cell]
Fe: 0.243 0.746 0.492 [1 per cell]
Fe: 0.572 0.073 0.146 [1 per cell]
Fe: 0.824 0.827 0.646 [1 per cell]
Fe: 0.903 0.406 0.801 [1 per cell]
O: 0.079 0.578 0.646 [1 per cell]
O: 0.577 0.078 0.648 [1 per cell]
F: 0.150 0.141 0.812 [1 per cell]
F: 0.211 0.754 0.985 [1 per cell]
F: 0.338 0.308 0.146 [1 per cell]
F: 0.409 0.867 0.310 [1 per cell]
F: 0.511 0.501 0.480 [1 per cell]
F: 0.661 0.671 0.816 [1 per cell]
F: 0.777 0.235 0.984 [1 per cell]
F: 0.807 0.839 0.147 [1 per cell]
F: 0.891 0.434 0.306 [1 per cell]
F: 0.982 0.992 0.476 [1 per cell]

Calculated values
Formation energy from the elements = -2610 meV/atom
Crystal system = triclinic
Polymorph energy (0 for the lowest one) = 0 meV/atom

***

Below is an optimized crystal structure of Ba4Sr4CoCu7O24, with properties calculated at the PBE with a Hubbard U level.

Unit cell a=11.195 b=11.197 c=7.921 alpha=90.00 beta=90.09 gamma=90.00
Space group Cm (No. 8)
Asymmetric unit:
Ba: 0.000 0.000 0.000 [2 per cell]
Ba: 0.002 0.500 0.497 [2 per cell]
Ba: 0.251 0.251 0.000 [4 per cell]
Sr: 0.003 0.500 0.000 [2 per cell]
Sr: 0.251 0.252 0.496 [4 per cell]
Sr: 0.499 0.500 0.497 [2 per cell]
Co: 0.251 0.000 0.746 [2 per cell]
Cu: 0.001 0.250 0.249 [4 per cell]
Cu: 0.001 0.250 0.748 [4 per cell]
Cu: 0.251 0.000 0.248 [2 per cell]
Cu: 0.251 0.500 0.249 [2 per cell]
Cu: 0.251 0.500 0.748 [2 per cell]
O: 0.001 0.245 0.499 [4 per cell]
O: 0.001 0.256 0.998 [4 per cell]
O: 0.126 0.374 0.747 [4 per cell]
O: 0.126 0.375 0.250 [4 per cell]
O: 0.127 0.125 0.261 [4 per cell]
O: 0.129 0.122 0.739 [4 per cell]
O: 0.245 0.500 0.999 [2 per cell]
O: 0.248 0.000 0.504 [2 per cell]
O: 0.255 0.000 0.991 [2 per cell]
O: 0.256 0.500 0.498 [2 per cell]
O: 0.373 0.122 0.747 [4 per cell]
O: 0.376 0.125 0.250 [4 per cell]
O: 0.376 0.374 0.736 [4 per cell]
O: 0.376 0.375 0.261 [4 per cell]

Calculated values
Formation energy from the elements = -1723 meV/atom
Crystal system = monoclinic

***

Below is an optimized crystal structure of La6Sm2V5Cr3O20, with properties calculated at the PBE with a Hubbard U level.

Unit cell a=10.987 b=11.327 c=17.876 alpha=71.68 beta=72.12 gamma=89.79
Space group P1 (No. 1)
Asymmetric unit:
La: 0.000 0.000 0.000 [1 per cell]
La: 0.001 0.498 0.997 [1 per cell]
La: 0.004 0.496 0.498 [1 per cell]
La: 0.132 0.125 0.740 [1 per cell]
La: 0.133 0.624 0.740 [1 per cell]
La: 0.134 0.622 0.244 [1 per cell]
La: 0.135 0.123 0.244 [1 per cell]
La: 0.245 0.244 0.006 [1 per cell]
La: 0.246 0.743 0.005 [1 per cell]
La: 0.259 0.753 0.496 [1 per cell]
La: 0.267 0.253 0.496 [1 per cell]
La: 0.383 0.878 0.243 [1 per cell]
La: 0.385 0.374 0.239 [1 per cell]
La: 0.500 0.001 0.003 [1 per cell]
La: 0.501 0.496 0.999 [1 per cell]
La: 0.510 0.995 0.495 [1 per cell]
La: 0.626 0.127 0.237 [1 per cell]
La: 0.631 0.621 0.243 [1 per cell]
La: 0.633 0.125 0.741 [1 per cell]
La: 0.750 0.250 0.498 [1 per cell]
La: 0.763 0.751 0.994 [1 per cell]
La: 0.769 0.254 0.994 [1 per cell]
La: 0.883 0.876 0.241 [1 per cell]
La: 0.887 0.377 0.237 [1 per cell]
Sm: 0.005 0.997 0.501 [1 per cell]
Sm: 0.391 0.879 0.729 [1 per cell]
Sm: 0.394 0.377 0.728 [1 per cell]
Sm: 0.506 0.499 0.499 [1 per cell]
Sm: 0.637 0.629 0.738 [1 per cell]
Sm: 0.758 0.744 0.501 [1 per cell]
Sm: 0.891 0.878 0.739 [1 per cell]
Sm: 0.894 0.377 0.737 [1 per cell]
V: 0.072 0.807 0.372 [1 per cell]
V: 0.080 0.305 0.371 [1 per cell]
V: 0.084 0.802 0.868 [1 per cell]
V: 0.088 0.303 0.866 [1 per cell]
V: 0.315 0.047 0.871 [1 per cell]
V: 0.321 0.550 0.867 [1 per cell]
V: 0.326 0.069 0.372 [1 per cell]
V: 0.329 0.569 0.370 [1 per cell]
V: 0.441 0.186 0.621 [1 per cell]
V: 0.444 0.188 0.115 [1 per cell]
V: 0.578 0.304 0.369 [1 per cell]
V: 0.579 0.802 0.371 [1 per cell]
V: 0.584 0.818 0.869 [1 per cell]
V: 0.587 0.321 0.867 [1 per cell]
V: 0.694 0.440 0.116 [1 per cell]
V: 0.821 0.060 0.373 [1 per cell]
V: 0.825 0.565 0.370 [1 per cell]
V: 0.831 0.069 0.868 [1 per cell]
V: 0.832 0.569 0.864 [1 per cell]
V: 0.942 0.186 0.123 [1 per cell]
Cr: 0.189 0.936 0.620 [1 per cell]
Cr: 0.191 0.934 0.122 [1 per cell]
Cr: 0.192 0.440 0.618 [1 per cell]
Cr: 0.193 0.440 0.119 [1 per cell]
Cr: 0.443 0.686 0.621 [1 per cell]
Cr: 0.444 0.688 0.117 [1 per cell]
Cr: 0.692 0.438 0.621 [1 per cell]
Cr: 0.693 0.934 0.120 [1 per cell]
Cr: 0.693 0.934 0.621 [1 per cell]
Cr: 0.940 0.687 0.619 [1 per cell]
Cr: 0.942 0.185 0.619 [1 per cell]
Cr: 0.942 0.688 0.120 [1 per cell]
O: 0.004 0.212 0.993 [1 per cell]
O: 0.004 0.708 0.996 [1 per cell]
O: 0.004 0.976 0.870 [1 per cell]
O: 0.005 0.476 0.868 [1 per cell]
O: 0.051 0.047 0.646 [1 per cell]
O: 0.051 0.550 0.646 [1 per cell]
O: 0.058 0.044 0.150 [1 per cell]
O: 0.059 0.556 0.143 [1 per cell]
O: 0.077 0.825 0.095 [1 per cell]
O: 0.080 0.826 0.589 [1 per cell]
O: 0.081 0.334 0.094 [1 per cell]
O: 0.084 0.323 0.591 [1 per cell]
O: 0.111 0.831 0.742 [1 per cell]
O: 0.118 0.335 0.739 [1 per cell]
O: 0.124 0.335 0.243 [1 per cell]
O: 0.128 0.829 0.245 [1 per cell]
O: 0.242 0.042 0.499 [1 per cell]
O: 0.242 0.898 0.371 [1 per cell]
O: 0.247 0.545 0.496 [1 per cell]
O: 0.249 0.397 0.368 [1 per cell]
O: 0.252 0.038 0.997 [1 per cell]
O: 0.261 0.541 0.992 [1 per cell]
O: 0.274 0.868 0.863 [1 per cell]
O: 0.276 0.371 0.861 [1 per cell]
O: 0.299 0.038 0.652 [1 per cell]
O: 0.303 0.041 0.147 [1 per cell]
O: 0.305 0.546 0.648 [1 per cell]
O: 0.306 0.551 0.145 [1 per cell]
O: 0.328 0.331 0.096 [1 per cell]
O: 0.330 0.824 0.094 [1 per cell]
O: 0.331 0.826 0.597 [1 per cell]
O: 0.336 0.339 0.592 [1 per cell]
O: 0.376 0.166 0.751 [1 per cell]
O: 0.381 0.670 0.744 [1 per cell]
O: 0.385 0.165 0.245 [1 per cell]
O: 0.385 0.668 0.241 [1 per cell]
O: 0.483 0.218 0.984 [1 per cell]
O: 0.493 0.710 0.991 [1 per cell]
O: 0.495 0.702 0.499 [1 per cell]
O: 0.496 0.475 0.377 [1 per cell]
O: 0.496 0.974 0.368 [1 per cell]
O: 0.501 0.201 0.494 [1 per cell]
O: 0.501 0.989 0.872 [1 per cell]
O: 0.509 0.496 0.863 [1 per cell]
O: 0.555 0.041 0.144 [1 per cell]
O: 0.555 0.551 0.141 [1 per cell]
O: 0.557 0.042 0.649 [1 per cell]
O: 0.557 0.553 0.647 [1 per cell]
O: 0.580 0.336 0.590 [1 per cell]
O: 0.584 0.820 0.593 [1 per cell]
O: 0.585 0.823 0.089 [1 per cell]
O: 0.589 0.329 0.086 [1 per cell]
O: 0.609 0.333 0.744 [1 per cell]
O: 0.616 0.829 0.745 [1 per cell]
O: 0.624 0.335 0.242 [1 per cell]
O: 0.630 0.828 0.243 [1 per cell]
O: 0.744 0.891 0.380 [1 per cell]
O: 0.749 0.544 0.498 [1 per cell]
O: 0.750 0.042 0.495 [1 per cell]
O: 0.752 0.391 0.367 [1 per cell]
O: 0.757 0.043 0.996 [1 per cell]
O: 0.759 0.899 0.861 [1 per cell]
O: 0.762 0.545 0.991 [1 per cell]
O: 0.764 0.396 0.860 [1 per cell]
O: 0.802 0.040 0.149 [1 per cell]
O: 0.802 0.544 0.652 [1 per cell]
O: 0.806 0.551 0.145 [1 per cell]
O: 0.807 0.040 0.649 [1 per cell]
O: 0.828 0.324 0.596 [1 per cell]
O: 0.831 0.331 0.096 [1 per cell]
O: 0.832 0.824 0.092 [1 per cell]
O: 0.833 0.828 0.589 [1 per cell]
O: 0.868 0.676 0.740 [1 per cell]
O: 0.878 0.667 0.243 [1 per cell]
O: 0.880 0.158 0.254 [1 per cell]
O: 0.880 0.173 0.741 [1 per cell]
O: 0.985 0.703 0.497 [1 per cell]
O: 0.988 0.201 0.497 [1 per cell]
O: 0.992 0.980 0.376 [1 per cell]
O: 0.996 0.476 0.371 [1 per cell]

Calculated values
Formation energy from the elements = -2874 meV/atom
Crystal system = triclinic

***

Below is an optimized crystal structure of V2CrO6, with properties calculated at the PBE with a Hubbard U level.

Unit cell a=10.480 b=9.136 c=5.517 alpha=90.00 beta=110.72 gamma=90.00
Space group C2 (No. 5)
Asymmetric unit:
V: 0.210 0.000 0.030 [4 per cell]
V: 0.220 0.787 0.562 [4 per cell]
Cr: 0.000 0.320 0.000 [2 per cell]
Cr: 0.000 0.480 0.500 [2 per cell]
O: 0.099 0.326 0.384 [4 per cell]
O: 0.111 0.477 0.888 [4 per cell]
O: 0.131 0.628 0.463 [4 per cell]
O: 0.141 0.931 0.720 [4 per cell]
O: 0.158 0.894 0.234 [4 per cell]
O: 0.164 0.187 0.051 [4 per cell]

Calculated values
Formation energy from the elements = -2346 meV/atom
Crystal system = monoclinic
Polymorph energy (0 for the lowest one) = 2 meV/atom

***

Question: Which of these has the highest formation energy from the elements?
Answer: MgMn3Cu3O8